Record 1
VASP calculation (meta-GGA r2SCAN) on a geometry-optimized Ti3O5 structure.

Cell lengths 5.2279, 5.2279, 9.3142 Å; angles 91.07, 91.07, 43.06 degrees
Positions (direct):
Ti  0.0563  0.0563  0.3609
Ti  0.1306  0.1306  0.0445
Ti  0.2208  0.2208  0.7368
Ti  0.7792  0.7792  0.2632
Ti  0.8694  0.8694  0.9555
Ti  0.9437  0.9437  0.6391
O  0.0430  0.0430  0.8465
O  0.1293  0.1293  0.5574
O  0.2418  0.2418  0.2436
O  0.3264  0.3264  0.9449
O  0.4126  0.4126  0.6595
O  0.5874  0.5874  0.3405
O  0.6736  0.6736  0.0551
O  0.7582  0.7582  0.7564
O  0.8707  0.8707  0.4426
O  0.9570  0.9570  0.1535

Calculated values
Energy of formation from the pure elements: -25.7 eV per formula unit
Energy above the lowest structure with this stoichiometry: 0.002 eV per atom

---

Record 2
VASP calculation (meta-GGA r2SCAN) on a geometry-optimized Ti3O structure.

Cell lengths 5.1353, 5.1353, 14.2353 Å; angles 90.00, 90.00, 120.00 degrees
Positions (direct):
Ti  0.9995  0.3383  0.2555
Ti  0.9999  0.3378  0.9215
Ti  0.9995  0.6613  0.7445
Ti  0.9999  0.6621  0.0785
Ti  0.0053  0.3328  0.5885
Ti  0.0053  0.6725  0.4115
Ti  0.3275  0.3328  0.4115
Ti  0.3275  0.9947  0.5885
Ti  0.3379  0.0001  0.9215
Ti  0.3379  0.3378  0.0785
Ti  0.3387  0.0005  0.2555
Ti  0.3387  0.3383  0.7445
Ti  0.6622  0.0001  0.0785
Ti  0.6617  0.0005  0.7445
Ti  0.6617  0.6613  0.2555
Ti  0.6622  0.6621  0.9215
Ti  0.6672  0.6725  0.5885
Ti  0.6672  0.9947  0.4115
O  0.0000  0.0000  0.5000
O  0.3333  0.6667  0.1668
O  0.3333  0.6667  0.5000
O  0.3333  0.6667  0.8332
O  0.6667  0.3333  0.1669
O  0.6667  0.3333  0.8331

Calculated values
Energy of formation from the pure elements: -6.1 eV per formula unit

---

Record 3
VASP calculation (meta-GGA r2SCAN) on a geometry-optimized Ti8O15 structure.

Cell lengths 5.5370, 7.1329, 13.4011 Å; angles 100.49, 96.34, 108.45 degrees
Positions (direct):
Ti  0.0112  0.3108  0.3100
Ti  0.0166  0.8152  0.3074
Ti  0.2704  0.2773  0.9546
Ti  0.2760  0.7768  0.9493
Ti  0.3268  0.3978  0.5649
Ti  0.3350  0.8988  0.5638
Ti  0.3584  0.5333  0.1806
Ti  0.3614  0.0298  0.1786
Ti  0.6386  0.9702  0.8214
Ti  0.6416  0.4667  0.8194
Ti  0.6650  0.1012  0.4362
Ti  0.6732  0.6022  0.4351
Ti  0.7240  0.2232  0.0507
Ti  0.7296  0.7227  0.0454
Ti  0.9834  0.1848  0.6926
Ti  0.9888  0.6892  0.6900
O  0.0095  0.6480  0.8396
O  0.0374  0.2767  0.4462
O  0.0744  0.8572  0.0490
O  0.0833  0.4451  0.6539
O  0.1004  0.0664  0.2570
O  0.2346  0.1405  0.6106
O  0.2653  0.7646  0.2175
O  0.2803  0.3245  0.8215
O  0.3011  0.9307  0.4219
O  0.3092  0.5559  0.0244
O  0.3519  0.8549  0.7112
O  0.3780  0.4790  0.3123
O  0.4107  0.0518  0.9206
O  0.4140  0.2654  0.1063
O  0.4288  0.6539  0.5228
O  0.5712  0.3461  0.4772
O  0.5860  0.7346  0.8937
O  0.5893  0.9482  0.0794
O  0.6220  0.5210  0.6877
O  0.6481  0.1451  0.2888
O  0.6908  0.4441  0.9756
O  0.6989  0.0693  0.5781
O  0.7197  0.6755  0.1785
O  0.7347  0.2354  0.7825
O  0.7654  0.8595  0.3894
O  0.8996  0.9336  0.7430
O  0.9167  0.5549  0.3461
O  0.9256  0.1428  0.9510
O  0.9626  0.7233  0.5538
O  0.9905  0.3520  0.1604

Calculated values
Energy of formation from the pure elements: -75.6 eV per formula unit

---

Record 4
VASP calculation (meta-GGA r2SCAN) on a geometry-optimized TiO2 structure.

Cell lengths 5.9580, 10.2520, 5.1592 Å; angles 90.00, 90.00, 90.00 degrees
Positions (direct):
Ti  0.0000  0.0000  0.0000
Ti  0.0000  0.5000  0.0000
Ti  0.2500  0.0081  0.4960
Ti  0.2500  0.4919  0.4960
Ti  0.5000  0.0000  0.0000
Ti  0.5000  0.5000  0.0000
Ti  0.7500  0.5081  0.5040
Ti  0.7500  0.9919  0.5040
O  0.0007  0.5937  0.6667
O  0.0007  0.9063  0.6667
O  0.2500  0.0948  0.8332
O  0.2500  0.4052  0.8332
O  0.2500  0.5922  0.1667
O  0.2500  0.9078  0.1667
O  0.4993  0.5937  0.6667
O  0.4993  0.9063  0.6667
O  0.5007  0.0937  0.3333
O  0.5007  0.4063  0.3333
O  0.7500  0.0922  0.8333
O  0.7500  0.4078  0.8333
O  0.7500  0.5948  0.1668
O  0.7500  0.9052  0.1668
O  0.9993  0.0937  0.3333
O  0.9993  0.4063  0.3333

Calculated values
Energy of formation from the pure elements: -9.4 eV per formula unit

---

Record 5
VASP calculation (meta-GGA r2SCAN) on a geometry-optimized TiO2 structure.

Cell lengths 18.7573, 2.9656, 4.6815 Å; angles 90.00, 90.00, 90.00 degrees
Positions (direct):
Ti  0.0695  0.2500  0.0477
Ti  0.1888  0.7500  0.5463
Ti  0.3112  0.2500  0.0463
Ti  0.4305  0.7500  0.5477
Ti  0.5695  0.2500  0.4523
Ti  0.6888  0.7500  0.9537
Ti  0.8112  0.2500  0.4537
Ti  0.9305  0.7500  0.9523
O  0.0176  0.7500  0.2093
O  0.1155  0.7500  0.8327
O  0.1408  0.2500  0.3419
O  0.2377  0.2500  0.7245
O  0.2623  0.7500  0.2245
O  0.3592  0.7500  0.8419
O  0.3845  0.2500  0.3327
O  0.4824  0.2500  0.7093
O  0.5176  0.7500  0.2907
O  0.6155  0.7500  0.6673
O  0.6408  0.2500  0.1581
O  0.7377  0.2500  0.7755
O  0.7623  0.7500  0.2755
O  0.8592  0.7500  0.6581
O  0.8845  0.2500  0.1673
O  0.9824  0.2500  0.7907

Calculated values
Energy of formation from the pure elements: -9.8 eV per formula unit

---

Record 6
VASP calculation (meta-GGA r2SCAN) on a geometry-optimized TiO2 structure.

Cell lengths 9.4596, 2.9662, 4.8806 Å; angles 90.00, 90.00, 90.00 degrees
Positions (direct):
Ti  0.1368  0.2500  0.0714
Ti  0.3632  0.7500  0.5714
Ti  0.6368  0.2500  0.4286
Ti  0.8632  0.7500  0.9286
O  0.0290  0.7500  0.2056
O  0.2322  0.7500  0.8634
O  0.2678  0.2500  0.3634
O  0.4710  0.2500  0.7056
O  0.5290  0.7500  0.2944
O  0.7322  0.7500  0.6366
O  0.7678  0.2500  0.1366
O  0.9710  0.2500  0.7944

Calculated values
Energy of formation from the pure elements: -9.8 eV per formula unit

---

Record 7
VASP calculation (meta-GGA r2SCAN) on a geometry-optimized TiO2 structure.

Cell lengths 5.7201, 3.7068, 8.7113 Å; angles 90.00, 90.00, 90.00 degrees
Positions (direct):
Ti  0.0792  0.2500  0.1318
Ti  0.4208  0.7500  0.6318
Ti  0.5792  0.2500  0.3682
Ti  0.9208  0.7500  0.8682
O  0.0920  0.7500  0.0680
O  0.1202  0.7500  0.7131
O  0.3798  0.2500  0.2131
O  0.4080  0.2500  0.5680
O  0.5920  0.7500  0.4320
O  0.6202  0.7500  0.7869
O  0.8798  0.2500  0.2869
O  0.9080  0.2500  0.9320

Calculated values
Energy of formation from the pure elements: -9.7 eV per formula unit

---

Record 8
VASP calculation (meta-GGA r2SCAN) on a geometry-optimized Ti2O3 structure.

Cell lengths 7.8289, 2.8380, 8.1451 Å; angles 90.00, 90.00, 90.00 degrees
Positions (direct):
Ti  0.0307  0.2500  0.1841
Ti  0.1964  0.2500  0.5191
Ti  0.3036  0.7500  0.0191
Ti  0.4693  0.7500  0.6841
Ti  0.5307  0.2500  0.3159
Ti  0.6964  0.2500  0.9809
Ti  0.8036  0.7500  0.4809
Ti  0.9693  0.7500  0.8159
O  0.0578  0.7500  0.3755
O  0.1212  0.2500  0.9472
O  0.2069  0.7500  0.6905
O  0.2931  0.2500  0.1905
O  0.3788  0.7500  0.4472
O  0.4422  0.2500  0.8755
O  0.5578  0.7500  0.1245
O  0.6212  0.2500  0.5528
O  0.7069  0.7500  0.8095
O  0.7931  0.2500  0.3095
O  0.8788  0.7500  0.0528
O  0.9422  0.2500  0.6245

Calculated values
Energy of formation from the pure elements: -15.8 eV per formula unit